Li3NiO2F2: relaxed, PBE with a Hubbard U.

Structure (POSCAR):
```
Li3NiO2F2
1.0
-0.0401 -3.1051 -3.9154
9.3803 5.4930 -4.4524
2.8953 -2.0578 3.5610
Li F O Ni
12 8 8 4
direct
0.7500 0.8171 0.0000 Li
0.2500 0.8195 0.5000 Li
0.7500 0.3170 0.0000 Li
0.2500 0.0579 0.5000 Li
0.2500 0.5579 0.5000 Li
0.2500 0.3195 0.5000 Li
0.7500 0.4421 0.5000 Li
0.2500 0.1829 0.0000 Li
0.7500 0.6805 0.5000 Li
0.7500 0.1805 0.5000 Li
0.2500 0.6830 0.0000 Li
0.7500 0.9421 0.5000 Li
0.9951 0.6890 0.2499 F
0.9951 0.1889 0.2499 F
0.4951 0.8111 0.2499 F
0.0049 0.3110 0.7502 F
0.0049 0.8111 0.7501 F
0.5049 0.6890 0.7502 F
0.5049 0.1889 0.7501 F
0.4951 0.3110 0.2499 F
0.9847 0.5567 0.7716 O
0.0153 0.9433 0.2285 O
0.0153 0.4433 0.2284 O
0.9847 0.0567 0.7716 O
0.5154 0.0567 0.2284 O
0.5153 0.5567 0.2284 O
0.4846 0.9433 0.7716 O
0.4847 0.4433 0.7716 O
0.7500 0.0554 0.0000 Ni
0.2499 0.9446 0.0000 Ni
0.7499 0.5555 0.9999 Ni
0.2501 0.4446 0.9999 Ni
```

## Properties
Final energy = -4.798 eV per atom
Formation energy = -2.2490 eV per atom
M_tot = 0.00 μB per formula unit

Li3TiNi4O8: relaxed, PBE with a Hubbard U.

Structure (POSCAR):
```
Li3TiNi4O8
1.0
5.9195 0.0000 0.0000
0.0000 5.9016 0.0000
-0.0447 0.0000 8.4037
Li Ti Ni O
6 2 8 16
direct
0.0000 0.0000 0.0000 Li
0.2501 0.2500 0.2503 Li
0.2501 0.7500 0.2503 Li
0.5000 0.5000 0.5000 Li
0.7499 0.2500 0.7497 Li
0.7499 0.7500 0.7497 Li
0.0000 0.0000 0.5000 Ti
0.5000 0.5000 0.0000 Ti
0.0000 0.5000 0.0000 Ni
0.0000 0.5000 0.5000 Ni
0.2498 0.2499 0.7493 Ni
0.2498 0.7501 0.7493 Ni
0.5000 0.0000 0.0000 Ni
0.5000 0.0000 0.5000 Ni
0.7502 0.2499 0.2507 Ni
0.7502 0.7501 0.2507 Ni
0.0104 0.0000 0.7384 O
0.0184 0.5000 0.7502 O
0.2380 0.2380 0.4987 O
0.2380 0.7620 0.4987 O
0.2620 0.2618 0.0015 O
0.2620 0.7382 0.0015 O
0.4815 0.0000 0.7507 O
0.4895 0.5000 0.7623 O
0.5105 0.5000 0.2377 O
0.5185 0.0000 0.2493 O
0.7380 0.2618 0.9985 O
0.7380 0.7382 0.9985 O
0.7620 0.2380 0.5013 O
0.7620 0.7620 0.5013 O
0.9816 0.5000 0.2498 O
0.9896 0.0000 0.2616 O
```

## Properties
Final energy = -5.714 eV per atom
Formation energy = -1.9224 eV per atom
Space-group type = No. 10
M_tot = 4.99 μB per formula unit

Y2Cr3O9: relaxed, PBE with a Hubbard U.

Structure (POSCAR):
```
Y2Cr3O9
1.0
5.2542 0.0000 0.0000
-0.0141 7.5517 0.0000
-0.0471 -0.0327 16.3246
Y Cr O
8 12 36
direct
0.0000 0.0000 0.0000 Y
0.0058 0.0016 0.6696 Y
0.0277 0.5009 0.7041 Y
0.0340 0.5065 0.3737 Y
0.4969 0.5035 0.8747 Y
0.5053 0.5039 0.2035 Y
0.5287 0.9991 0.1700 Y
0.5361 0.9966 0.4989 Y
0.0073 0.7573 0.8529 Cr
0.0093 0.2427 0.8530 Cr
0.0174 0.2516 0.1867 Cr
0.0165 0.7516 0.1868 Cr
0.0223 0.7419 0.5209 Cr
0.0285 0.2566 0.5209 Cr
0.5075 0.2553 0.0218 Cr
0.5113 0.7419 0.0218 Cr
0.5162 0.7516 0.6869 Cr
0.5174 0.2515 0.6865 Cr
0.5209 0.7616 0.3522 Cr
0.5286 0.2477 0.3509 Cr
0.0892 0.0051 0.8582 O
0.1003 0.9958 0.1935 O
0.1198 0.0004 0.5322 O
0.2090 0.2854 0.6234 O
0.2126 0.7179 0.6254 O
0.2315 0.3163 0.2848 O
0.2310 0.7155 0.9491 O
0.2334 0.6901 0.2842 O
0.2402 0.2924 0.9492 O
0.2915 0.2877 0.4471 O
0.2994 0.3137 0.7843 O
0.2998 0.6889 0.7840 O
0.3017 0.7165 0.4507 O
0.3285 0.7182 0.1244 O
0.3359 0.2846 0.1222 O
0.4145 0.9989 0.0315 O
0.4336 0.0023 0.6946 O
0.4393 0.9960 0.3600 O
0.5953 0.5079 0.0132 O
0.5997 0.5005 0.6791 O
0.6198 0.5034 0.3420 O
0.7002 0.2176 0.2517 O
0.7057 0.7843 0.2489 O
0.7333 0.1880 0.5893 O
0.7343 0.8134 0.5898 O
0.7369 0.2164 0.9265 O
0.7380 0.7872 0.9237 O
0.7917 0.2107 0.4260 O
0.8010 0.8129 0.0890 O
0.8031 0.1867 0.0895 O
0.8037 0.7870 0.4230 O
0.8232 0.2178 0.7485 O
0.8231 0.7846 0.7494 O
0.9138 0.5003 0.8415 O
0.9341 0.5070 0.1800 O
0.9439 0.5048 0.5151 O
```

## Properties
Final energy = -7.954 eV per atom
Formation energy = -2.6505 eV per atom
Space-group type = No. 1
M_tot = 6.00 μB per formula unit

MnP2O7: relaxed, PBE with a Hubbard U.

Structure (POSCAR):
```
MnP2O7
1.0
6.9357 0.0000 0.0000
0.0000 8.6130 0.0000
-2.9023 0.0000 8.9561
Mn P O
4 8 28
direct
0.1979 0.0679 0.3199 Mn
0.1979 0.4321 0.8199 Mn
0.8021 0.5679 0.1801 Mn
0.8021 0.9321 0.6801 Mn
0.0336 0.7212 0.9676 P
0.0336 0.7788 0.4676 P
0.4179 0.7439 0.2444 P
0.4179 0.7561 0.7444 P
0.5821 0.2439 0.2556 P
0.5821 0.2561 0.7556 P
0.9664 0.2212 0.5324 P
0.9664 0.2788 0.0324 P
0.0171 0.6247 0.3856 O
0.0171 0.8753 0.8856 O
0.0215 0.5821 0.8621 O
0.0215 0.9179 0.3621 O
0.1269 0.2130 0.4511 O
0.1269 0.2870 0.9511 O
0.2534 0.7050 0.0884 O
0.2534 0.7950 0.5884 O
0.3771 0.2281 0.2840 O
0.3771 0.2719 0.7840 O
0.3844 0.5913 0.7927 O
0.3844 0.9087 0.2927 O
0.4110 0.6216 0.3608 O
0.4110 0.8784 0.8608 O
0.5890 0.1216 0.1392 O
0.5890 0.3784 0.6392 O
0.6156 0.0913 0.7073 O
0.6156 0.4087 0.2073 O
0.6229 0.7281 0.2160 O
0.6229 0.7719 0.7160 O
0.7466 0.2050 0.4116 O
0.7466 0.2950 0.9116 O
0.8731 0.7130 0.0489 O
0.8731 0.7870 0.5489 O
0.9785 0.0821 0.6379 O
0.9785 0.4179 0.1379 O
0.9829 0.1247 0.1144 O
0.9829 0.3753 0.6144 O
```

## Properties
Final energy = -7.077 eV per atom
Formation energy = -2.2627 eV per atom
Space-group type = No. 14
M_tot = 3.00 μB per formula unit

LiMn3B3O9: relaxed, PBE with a Hubbard U.

Structure (POSCAR):
```
LiMn3B3O9
1.0
6.1897 0.0000 0.0000
-0.9450 7.7087 0.0000
-2.6588 -3.6789 7.8163
Li Mn B O
2 6 6 18
direct
0.0109 0.3353 0.2837 Li
0.9891 0.6647 0.7163 Li
0.0242 0.2787 0.9265 Mn
0.3175 0.0640 0.7263 Mn
0.3917 0.6427 0.6211 Mn
0.6083 0.3573 0.3789 Mn
0.6825 0.9360 0.2737 Mn
0.9758 0.7213 0.0735 Mn
0.0499 0.2974 0.5975 B
0.2760 0.0154 0.0412 B
0.3635 0.6284 0.2815 B
0.6365 0.3716 0.7185 B
0.7240 0.9846 0.9588 B
0.9501 0.7026 0.4025 B
0.0564 0.1860 0.6932 O
0.1048 0.7858 0.5721 O
0.1179 0.8406 0.9551 O
0.1753 0.4812 0.6783 O
0.2003 0.5721 0.1175 O
0.2763 0.1454 0.9661 O
0.3396 0.5029 0.3567 O
0.4463 0.0709 0.2021 O
0.4712 0.2014 0.6318 O
0.5288 0.7986 0.3682 O
0.5537 0.9291 0.7979 O
0.6604 0.4971 0.6433 O
0.7237 0.8546 0.0339 O
0.7997 0.4279 0.8825 O
0.8247 0.5188 0.3217 O
0.8821 0.1594 0.0449 O
0.8952 0.2142 0.4279 O
0.9436 0.8140 0.3068 O
```

## Properties
Final energy = -7.575 eV per atom
Formation energy = -2.4012 eV per atom
Space-group type = No. 2
M_tot = 13.00 μB per formula unit

ZnMoO3: relaxed, PBE with a Hubbard U.

Structure (POSCAR):
```
ZnMoO3
1.0
5.3385 0.0000 0.0000
0.0000 7.9706 0.0000
0.0000 0.0000 5.3139
Zn Mo O
4 4 12
direct
0.0219 0.2500 0.0165 Zn
0.4781 0.7500 0.5165 Zn
0.5219 0.2500 0.4835 Zn
0.9781 0.7500 0.9835 Zn
0.0000 0.0000 0.5000 Mo
0.0000 0.5000 0.5000 Mo
0.5000 0.0000 0.0000 Mo
0.5000 0.5000 0.0000 Mo
0.0975 0.7500 0.6175 O
0.1754 0.5687 0.1638 O
0.1754 0.9313 0.1638 O
0.3246 0.0687 0.6638 O
0.3246 0.4313 0.6638 O
0.4025 0.2500 0.1175 O
0.5975 0.7500 0.8825 O
0.6754 0.5687 0.3362 O
0.6754 0.9313 0.3362 O
0.8246 0.0687 0.8362 O
0.8246 0.4313 0.8362 O
0.9025 0.2500 0.3825 O
```

## Properties
Final energy = -6.180 eV per atom
Formation energy = -1.8431 eV per atom
Space-group type = No. 62
M_tot = 2.00 μB per formula unit

Li4Ti4V4NiO18: relaxed, PBE with a Hubbard U.

Structure (POSCAR):
```
Li4Ti4V4NiO18
1.0
9.2096 0.0000 0.0000
0.0000 24.5518 0.0000
0.0000 0.0000 2.9681
Li Ti V Ni O
8 8 8 2 36
direct
0.1947 0.1895 0.0000 Li
0.1979 0.9904 0.0000 Li
0.3021 0.4904 0.0000 Li
0.3053 0.6895 0.0000 Li
0.6947 0.3105 0.0000 Li
0.6979 0.5096 0.0000 Li
0.8021 0.0096 0.0000 Li
0.8053 0.8105 0.0000 Li
0.0031 0.8992 0.0000 Ti
0.1617 0.8060 0.5000 Ti
0.3383 0.3060 0.5000 Ti
0.4969 0.3992 0.0000 Ti
0.5031 0.6008 0.0000 Ti
0.6617 0.6940 0.5000 Ti
0.8383 0.1940 0.5000 Ti
0.9969 0.1008 0.0000 Ti
0.0054 0.6849 0.0000 V
0.1512 0.5871 0.5000 V
0.3488 0.0871 0.5000 V
0.4946 0.1849 0.0000 V
0.5054 0.8151 0.0000 V
0.6512 0.9129 0.5000 V
0.8488 0.4129 0.5000 V
0.9946 0.3151 0.0000 V
0.0000 0.5000 0.0000 Ni
0.5000 0.0000 0.0000 Ni
0.0087 0.5956 0.0000 O
0.0411 0.1578 0.5000 O
0.0601 0.9441 0.5000 O
0.1132 0.7569 0.0000 O
0.1331 0.2946 0.5000 O
0.1494 0.5098 0.5000 O
0.1545 0.6660 0.5000 O
0.1877 0.8585 0.0000 O
0.2041 0.0837 0.0000 O
0.2959 0.5837 0.0000 O
0.3123 0.3585 0.0000 O
0.3455 0.1660 0.5000 O
0.3506 0.0098 0.5000 O
0.3669 0.7946 0.5000 O
0.3868 0.2569 0.0000 O
0.4399 0.4441 0.5000 O
0.4589 0.6578 0.5000 O
0.4913 0.0956 0.0000 O
0.5087 0.9044 0.0000 O
0.5411 0.3422 0.5000 O
0.5601 0.5559 0.5000 O
0.6132 0.7431 0.0000 O
0.6331 0.2054 0.5000 O
0.6494 0.9902 0.5000 O
0.6545 0.8340 0.5000 O
0.6877 0.6415 0.0000 O
0.7041 0.4163 0.0000 O
0.7959 0.9163 0.0000 O
0.8123 0.1415 0.0000 O
0.8455 0.3340 0.5000 O
0.8506 0.4902 0.5000 O
0.8669 0.7054 0.5000 O
0.8868 0.2431 0.0000 O
0.9399 0.0559 0.5000 O
0.9589 0.8422 0.5000 O
0.9913 0.4044 0.0000 O
```

## Properties
Final energy = -7.535 eV per atom
Formation energy = -2.7383 eV per atom
Space-group type = No. 55
M_tot = 8.00 μB per formula unit

MgBiW2O8: relaxed, PBE with a Hubbard U.

Structure (POSCAR):
```
MgBiW2O8
1.0
5.2616 0.0000 0.0000
2.3936 5.4824 0.0000
0.0214 2.2110 5.6445
Mg Bi W O
1 1 2 8
direct
0.0000 0.0000 0.0000 Mg
0.4793 0.0388 0.3485 Bi
0.2335 0.5298 0.6853 W
0.7058 0.5606 0.0042 W
0.1427 0.3046 0.0127 O
0.2112 0.2970 0.5704 O
0.2294 0.7765 0.3959 O
0.2987 0.7582 0.8796 O
0.6303 0.3483 0.8122 O
0.7276 0.2930 0.2758 O
0.7437 0.8211 0.1200 O
0.8345 0.7361 0.6936 O
```

## Properties
Final energy = -6.909 eV per atom
Formation energy = -2.1909 eV per atom
Space-group type = No. 1
M_tot = 1.00 μB per formula unit

NiSeO5: relaxed, PBE with a Hubbard U.

Structure (POSCAR):
```
NiSeO5
1.0
3.5557 -4.0602 0.0000
3.5557 4.0602 0.0000
-2.9084 0.0000 6.2540
Ni Se O
2 2 10
direct
0.0000 0.0000 0.0000 Ni
0.0000 0.0000 0.5000 Ni
0.3324 0.6676 0.7500 Se
0.6676 0.3324 0.2500 Se
0.0846 0.9154 0.2500 O
0.1103 0.6804 0.8816 O
0.2626 0.3627 0.5780 O
0.3196 0.8897 0.6184 O
0.3627 0.2626 0.0780 O
0.6373 0.7374 0.9220 O
0.6804 0.1103 0.3816 O
0.7374 0.6373 0.4220 O
0.8897 0.3196 0.1184 O
0.9154 0.0846 0.7500 O
```

## Properties
Final energy = -4.773 eV per atom
Formation energy = -0.7678 eV per atom
Space-group type = No. 15
M_tot = 1.99 μB per formula unit

Cr4Si2Cl2O7: relaxed, PBE with a Hubbard U.

Structure (POSCAR):
```
Cr4Si2Cl2O7
1.0
6.5101 0.0000 0.0000
0.0000 12.9570 0.0000
-0.3756 0.0000 10.6396
Cr Si Cl O
16 8 8 28
direct
0.0000 0.0321 0.0000 Cr
0.0000 0.9679 0.5000 Cr
0.0052 0.2759 0.4870 Cr
0.0052 0.7241 0.9870 Cr
0.3340 0.1137 0.3136 Cr
0.3340 0.8863 0.8136 Cr
0.3659 0.1281 0.8057 Cr
0.3659 0.8719 0.3057 Cr
0.4004 0.3621 0.2928 Cr
0.4004 0.6379 0.7928 Cr
0.4034 0.3728 0.7953 Cr
0.4034 0.6272 0.2953 Cr
0.7334 0.2329 0.9875 Cr
0.7334 0.7671 0.4875 Cr
0.7440 0.4579 0.5953 Cr
0.7440 0.5421 0.0953 Cr
0.2425 0.2606 0.0534 Si
0.2425 0.7394 0.5534 Si
0.2503 0.4955 0.5358 Si
0.2503 0.5045 0.0358 Si
0.5069 0.0014 0.5516 Si
0.5069 0.9986 0.0516 Si
0.5097 0.2391 0.5446 Si
0.5097 0.7609 0.0446 Si
0.0003 0.1166 0.6751 Cl
0.0003 0.8834 0.1751 Cl
0.7585 0.3728 0.1974 Cl
0.7585 0.6272 0.6974 Cl
0.8113 0.3833 0.8607 Cl
0.8113 0.6167 0.3607 Cl
0.9402 0.1244 0.3484 Cl
0.9402 0.8756 0.8484 Cl
0.0383 0.1929 0.0176 O
0.0383 0.8071 0.5176 O
0.0456 0.4252 0.5532 O
0.0456 0.5748 0.0532 O
0.1950 0.3840 0.0740 O
0.1950 0.6160 0.5740 O
0.3090 0.0191 0.9475 O
0.3090 0.9809 0.4475 O
0.3157 0.2626 0.4410 O
0.3157 0.7374 0.9410 O
0.3408 0.4937 0.3938 O
0.3408 0.5063 0.8938 O
0.3585 0.2281 0.1864 O
0.3585 0.7719 0.6864 O
0.4099 0.2522 0.9380 O
0.4099 0.7478 0.4380 O
0.4352 0.0009 0.1962 O
0.4348 0.4608 0.6373 O
0.4348 0.5392 0.1373 O
0.4352 0.9991 0.6962 O
0.4372 0.2443 0.6885 O
0.4372 0.7557 0.1885 O
0.5717 0.1194 0.5121 O
0.5717 0.8806 0.0121 O
0.6955 0.0754 0.0180 O
0.6955 0.9246 0.5180 O
0.7035 0.3136 0.5150 O
0.7035 0.6864 0.0150 O
```

## Properties
Final energy = -7.332 eV per atom
Formation energy = -2.3323 eV per atom
Space-group type = No. 7
M_tot = 16.00 μB per formula unit

- Look up the formation energy of the second one.
  -1.9224 eV per atom